This record from the Materials Project describes crystalline Yb3W at its relaxed geometry. The functional is r2SCAN.

Values from the calculation:
As for the space-group type: P6_3/mmc (194). The calculation puts the theoretical density at 12.26 g/cm³. As for the formation energy: 320.7 meV per atom.

Unit cell a=6.553 b=6.553 c=5.121 alpha=90.00 beta=90.00 gamma=120.00
Atoms (fractional coordinates):
Yb1 0.172 0.344 0.250
Yb2 0.656 0.828 0.250
Yb3 0.172 0.828 0.250
Yb4 0.828 0.656 0.750
Yb5 0.344 0.172 0.750
Yb6 0.828 0.172 0.750
W1 0.333 0.667 0.750
W2 0.667 0.333 0.250


This record from the Materials Project describes crystalline NdY3 at its relaxed geometry. The functional is r2SCAN.

Values from the calculation:
As for the space-group type: Pm-3m (221). The calculation puts the theoretical density at 5.05 g/cm³. As for the formation energy: 72.0 meV per atom.

Unit cell a=5.132 b=5.132 c=5.132 alpha=90.00 beta=90.00 gamma=90.00
Atoms (fractional coordinates):
Nd1 0.000 0.000 0.000
Y1 0.000 0.500 0.500
Y2 0.500 0.000 0.500
Y3 0.500 0.500 0.000


This record from the Materials Project describes crystalline Pr2P3Au at its relaxed geometry. The functional is r2SCAN.

Values from the calculation:
As for the space-group type: Pnma (62). The calculation puts the theoretical density at 7.07 g/cm³. As for the formation energy: -1178.4 meV per atom.

Unit cell a=4.213 b=7.790 c=16.370 alpha=90.00 beta=90.00 gamma=90.00
Atoms (fractional coordinates):
Pr1 0.750 0.908 0.794
Pr2 0.250 0.735 0.021
Pr3 0.250 0.592 0.294
Pr4 0.250 0.092 0.206
Pr5 0.750 0.765 0.521
Pr6 0.250 0.235 0.479
Pr7 0.750 0.408 0.706
Pr8 0.750 0.265 0.979
P1 0.750 0.616 0.908
P2 0.750 0.796 0.202
P3 0.750 0.296 0.298
P4 0.250 0.204 0.798
P5 0.750 0.964 0.095
P6 0.250 0.384 0.092
P7 0.750 0.116 0.592
P8 0.250 0.536 0.595
P9 0.750 0.464 0.405
P10 0.250 0.884 0.408
P11 0.250 0.036 0.905
P12 0.250 0.704 0.702
Au1 0.250 0.498 0.857
Au2 0.750 0.502 0.143
Au3 0.750 0.002 0.357
Au4 0.250 0.998 0.643


This record from the Materials Project describes crystalline DyPaTc2 at its relaxed geometry. The functional is r2SCAN.

Values from the calculation:
As for the space-group type: Fm-3m (225). The calculation puts the theoretical density at 12.32 g/cm³. As for the formation energy: -169.9 meV per atom.

Unit cell a=4.826 b=4.826 c=4.826 alpha=60.00 beta=60.00 gamma=60.00
Atoms (fractional coordinates):
Dy1 0.250 0.250 0.250
Pa1 0.750 0.750 0.750
Tc1 0.000 0.000 0.000
Tc2 0.500 0.500 0.500


This record from the Materials Project describes crystalline CaMgS2 at its relaxed geometry. The functional is r2SCAN.

Values from the calculation:
As for the space-group type: R-3m (166). The calculation puts the theoretical density at 2.63 g/cm³. As for the formation energy: -2018.1 meV per atom.

Unit cell a=6.675 b=6.675 c=6.675 alpha=33.63 beta=33.63 gamma=33.63
Atoms (fractional coordinates):
Ca1 0.000 0.000 0.000
Mg1 0.500 0.500 0.500
S1 0.243 0.243 0.243
S2 0.757 0.757 0.757


This record from the Materials Project describes crystalline U2TlSe6 at its relaxed geometry. The functional is r2SCAN.

Values from the calculation:
As for the space-group type: Immm (71). The calculation puts the theoretical density at 7.67 g/cm³. As for the formation energy: -1196.6 meV per atom.

Unit cell a=11.587 b=11.587 c=11.587 alpha=159.68 beta=152.44 gamma=34.48
Atoms (fractional coordinates):
U1 0.679 0.179 0.500
U2 0.321 0.821 0.500
Tl1 0.000 0.000 0.000
Se1 0.771 0.771 0.000
Se2 0.229 0.229 0.000
Se3 0.850 0.605 0.245
Se4 0.150 0.395 0.755
Se5 0.640 0.395 0.245
Se6 0.360 0.605 0.755


This record from the Materials Project describes crystalline NaLi2NiPCO7 at its relaxed geometry. The functional is r2SCAN.

Values from the calculation:
The calculation puts the theoretical density at 3.13 g/cm³. As for the formation energy: -2086.0 meV per atom.

Unit cell a=4.960 b=12.883 c=8.359 alpha=90.01 beta=84.86 gamma=90.00
Atoms (fractional coordinates):
Na1 0.268 0.011 0.267
Na2 0.268 0.511 0.268
Na3 0.731 0.261 0.733
Na4 0.732 0.761 0.733
Li1 0.787 0.137 0.103
Li2 0.787 0.637 0.103
Li3 0.213 0.387 0.897
Li4 0.213 0.887 0.897
Li5 0.264 0.249 0.277
Li6 0.264 0.749 0.277
Li7 0.736 0.999 0.723
Li8 0.736 0.499 0.723
Ni1 0.790 0.875 0.334
Ni2 0.210 0.625 0.666
Ni3 0.790 0.375 0.334
Ni4 0.210 0.125 0.666
P1 0.727 0.128 0.411
P2 0.727 0.628 0.411
P3 0.273 0.378 0.589
P4 0.273 0.878 0.589
C1 0.687 0.382 0.046
C2 0.687 0.882 0.046
C3 0.313 0.132 0.954
C4 0.313 0.632 0.954
O1 0.390 0.145 0.095
O2 0.390 0.644 0.095
O3 0.610 0.395 0.905
O4 0.610 0.895 0.905
O5 0.939 0.381 0.075
O6 0.939 0.881 0.075
O7 0.061 0.131 0.925
O8 0.061 0.631 0.925
O9 0.509 0.369 0.169
O10 0.509 0.869 0.169
O11 0.491 0.119 0.831
O12 0.491 0.619 0.831
O13 0.793 0.034 0.301
O14 0.793 0.534 0.301
O15 0.207 0.284 0.699
O16 0.207 0.784 0.699
O17 0.844 0.219 0.307
O18 0.844 0.719 0.307
O19 0.156 0.470 0.693
O20 0.156 0.969 0.693
O21 0.150 0.371 0.429
O22 0.150 0.871 0.429
O23 0.850 0.121 0.571
O24 0.850 0.621 0.571
O25 0.417 0.140 0.443
O26 0.417 0.640 0.443
O27 0.583 0.390 0.557
O28 0.583 0.890 0.557


This record from the Materials Project describes crystalline TmIn3 at its relaxed geometry. The functional is r2SCAN.

Values from the calculation:
As for the space-group type: Pm-3m (221). The calculation puts the theoretical density at 8.84 g/cm³. As for the formation energy: -470.5 meV per atom.

Unit cell a=4.585 b=4.585 c=4.585 alpha=90.00 beta=90.00 gamma=90.00
Atoms (fractional coordinates):
Tm1 0.000 0.000 0.000
In1 0.500 0.000 0.500
In2 0.000 0.500 0.500
In3 0.500 0.500 0.000


This record from the Materials Project describes crystalline ThAl10Fe2 at its relaxed geometry. The functional is r2SCAN.

Values from the calculation:
As for the space-group type: Cmcm (63). The calculation puts the theoretical density at 5.03 g/cm³. As for the formation energy: -300.3 meV per atom.

Unit cell a=6.754 b=6.754 c=8.957 alpha=90.00 beta=90.00 gamma=97.81
Atoms (fractional coordinates):
Th1 0.875 0.125 0.750
Th2 0.125 0.875 0.250
Al1 0.519 0.779 0.750
Al2 0.481 0.221 0.250
Al3 0.592 0.867 0.250
Al4 0.771 0.771 0.000
Al5 0.162 0.838 0.600
Al6 0.229 0.229 0.000
Al7 0.133 0.408 0.250
Al8 0.624 0.376 0.951
Al9 0.838 0.162 0.100
Al10 0.376 0.624 0.451
Al11 0.162 0.838 0.900
Al12 0.221 0.481 0.750
Al13 0.376 0.624 0.049
Al14 0.838 0.162 0.400
Al15 0.624 0.376 0.549
Al16 0.408 0.133 0.750
Al17 0.779 0.519 0.250
Al18 0.771 0.771 0.500
Al19 0.229 0.229 0.500
Al20 0.867 0.592 0.750
Fe1 0.000 0.500 0.500
Fe2 0.000 0.500 0.000
Fe3 0.500 0.000 0.000
Fe4 0.500 0.000 0.500


This record from the Materials Project describes crystalline TeO2 at its relaxed geometry. The functional is r2SCAN.

Values from the calculation:
As for the space-group type: P2_12_12_1 (19). The calculation puts the theoretical density at 5.94 g/cm³. As for the formation energy: -1101.8 meV per atom.

Unit cell a=4.741 b=4.907 c=7.673 alpha=90.00 beta=90.00 gamma=90.00
Atoms (fractional coordinates):
Te1 0.722 0.528 0.377
Te2 0.278 0.028 0.123
Te3 0.222 0.972 0.623
Te4 0.778 0.472 0.877
O1 0.526 0.130 0.943
O2 0.026 0.370 0.057
O3 0.399 0.247 0.311
O4 0.474 0.630 0.557
O5 0.974 0.870 0.443
O6 0.101 0.753 0.811
O7 0.601 0.747 0.189
O8 0.899 0.253 0.689


This record from the Materials Project describes crystalline HoPd2Pb at its relaxed geometry. The functional is r2SCAN.

Values from the calculation:
As for the space-group type: Fm-3m (225). The calculation puts the theoretical density at 12.27 g/cm³. As for the formation energy: -745.5 meV per atom.

Unit cell a=4.820 b=4.820 c=4.820 alpha=60.00 beta=60.00 gamma=60.00
Atoms (fractional coordinates):
Ho1 0.500 0.500 0.500
Pd1 0.250 0.250 0.250
Pd2 0.750 0.750 0.750
Pb1 0.000 0.000 0.000


This record from the Materials Project describes crystalline AgAu3 at its relaxed geometry. The functional is r2SCAN.

Values from the calculation:
As for the space-group type: I4/mmm (139). The calculation puts the theoretical density at 16.58 g/cm³. As for the formation energy: -63.1 meV per atom.

Unit cell a=5.068 b=5.068 c=5.068 alpha=132.22 beta=132.22 gamma=69.88
Atoms (fractional coordinates):
Ag1 0.000 0.000 0.000
Au1 0.750 0.250 0.500
Au2 0.250 0.750 0.500
Au3 0.500 0.500 0.000